No. 1
Compound: NbInS2
Source: Materials Project
Functional: PBE-GGA
Structure: relaxed

Calculated values
energy of formation from the pure elements	-4.403	eV per formula unit
density	5.5	g/cm³
energy	-6.1306	eV/atom

a b c (Å): 3.3854 3.3854 8.2601
angles (deg): 90.00 90.00 120.00
Fractional positions:
S1 0.3333 0.6667 0.6898
S2 0.3333 0.6667 0.3102
In1 0.0000 0.0000 0.0000
Nb1 0.0000 0.0000 0.5000

***

No. 2
Compound: NbInS2
Source: Materials Project
Functional: PBE-GGA
Structure: relaxed

Calculated values
energy of formation from the pure elements	-4.466	eV per formula unit
density	5.3	g/cm³
energy	-6.1465	eV/atom

a b c (Å): 3.3360 3.3360 8.8365
angles (deg): 90.00 90.00 120.00
Fractional positions:
Nb1 0.0000 0.0000 0.5000
S1 0.6667 0.3333 0.6785
In1 0.6667 0.3333 0.0000
S2 0.6667 0.3333 0.3215

***

No. 3
Compound: NbInSe2
Source: Materials Project
Functional: PBE-GGA
Structure: relaxed

Calculated values
energy of formation from the pure elements	-3.688	eV per formula unit
density	6.2	g/cm³
energy	-5.6472	eV/atom

a b c (Å): 3.4646 3.4646 9.3914
angles (deg): 90.00 90.00 120.00
Fractional positions:
In1 0.6667 0.3333 0.0000
Nb1 0.0000 0.0000 0.5000
Se1 0.6667 0.3333 0.6784
Se2 0.6667 0.3333 0.3216

***

No. 4
Compound: NbInSe2
Source: Materials Project
Functional: PBE-GGA
Structure: relaxed

Calculated values
energy of formation from the pure elements	-3.678	eV per formula unit
density	6.6	g/cm³
energy	-5.6446	eV/atom

a b c (Å): 3.5127 3.5127 8.5816
angles (deg): 90.00 90.00 120.00
Fractional positions:
Se1 0.0000 0.0000 0.6960
Nb1 0.6667 0.3333 0.5000
In1 0.6667 0.3333 0.0000
Se2 0.0000 0.0000 0.3040

***

No. 5
Compound: Nb6InTe8
Source: Materials Project
Functional: PBE-GGA
Structure: relaxed

Calculated values
energy of formation from the pure elements	-9.105	eV per formula unit
density	7.6	g/cm³
energy	-6.2824	eV/atom

a b c (Å): 3.6644 10.8211 10.8175
angles (deg): 119.99 90.00 90.00
Fractional positions:
Te1 0.7500 0.3382 0.2750
Te2 0.2500 0.6667 0.3333
Te3 0.2500 0.6650 0.7285
Te4 0.2500 0.2714 0.9364
Te5 0.7500 0.9368 0.6619
Nb1 0.2500 0.3888 0.4905
Nb2 0.7500 0.4874 0.1017
In1 0.7500 0.0001 0.0004
Nb3 0.7500 0.8982 0.3857
Te6 0.2500 0.0636 0.3349
Te7 0.7500 0.3333 0.6666
Nb4 0.7500 0.6143 0.5125
Nb5 0.2500 0.1018 0.6111
Te8 0.7500 0.7250 0.0632
Nb6 0.2500 0.5095 0.8983

***

No. 6
Compound: NdIn3
Source: Materials Project
Functional: PBE-GGA
Structure: relaxed

Calculated values
energy of formation from the pure elements	-1.852	eV per formula unit
density	7.7	g/cm³
energy	-3.7187	eV/atom

a b c (Å): 4.7236 4.7236 4.7236
angles (deg): 90.00 90.00 90.00
Fractional positions:
In1 0.5000 0.0000 0.5000
Nd1 0.0000 0.0000 0.0000
In2 0.0000 0.5000 0.5000
In3 0.5000 0.5000 0.0000